Entry 1:
## SmSbIr (PBE)

Data for an optimized crystal structure of SmSbIr.

Properties
Crystal system = orthorhombic
Theoretical density = 11.522 Mg/m³
Formation energy = -0.886 eV/atom

abc: 7.3278 4.5720 7.9895
angles: 90.00 90.00 90.00
Space group Pnma (No. 62)
Inequivalent atoms, fractional coordinates:
1 Sm 0.0127 0.2500 0.1928
2 Sb 0.1774 0.2500 0.5875
3 Ir 0.2051 0.7500 0.4108

Entry 2:
## TcN (PBE)

Data for an optimized crystal structure of TcN.

Properties
Offset from the most stable computed form = 134 meV per atom
Crystal system = hexagonal
Magnetic moment = 0.0 μB/f.u.
Theoretical density = 9.463 Mg/m³
Formation energy = -0.039 eV/atom

abc: 2.8162 2.8162 5.7232
angles: 90.00 90.00 120.00
Space group P6_3/mmc (No. 194)
Inequivalent atoms, fractional coordinates:
1 Tc 0.0000 0.0000 0.0000
2 N 0.3333 0.6667 0.2500

Entry 3:
## Tl6SCl4 (PBE)

Data for an optimized crystal structure of Tl6SCl4.

Properties
Crystal system = tetragonal
Theoretical density = 6.538 Mg/m³
Formation energy = -1.091 eV/atom

abc: 8.7089 8.7089 9.3776
angles: 90.00 90.00 90.00
Space group P4/mnc (No. 128)
Inequivalent atoms, fractional coordinates:
1 Tl 0.0000 0.0000 0.1961
2 Tl 0.1102 0.3194 0.5000
3 S 0.0000 0.0000 0.5000
4 Cl 0.1756 0.6756 0.2500

Entry 4:
## Li7RuO6 (PBE)

Data for an optimized crystal structure of Li7RuO6.

Properties
Maximum piezoelectric response = 0.62 C/m2
Crystal system = triclinic
Theoretical density = 3.208 Mg/m³
Formation energy = -1.982 eV/atom

abc: 5.3564 5.4340 5.8388
angles: 90.84 115.95 119.46
Space group P1 (No. 1)
Inequivalent atoms, fractional coordinates:
1 Li 0.0000 0.0000 0.0000
2 Li 0.0289 0.8476 0.4154
3 Li 0.1499 0.2535 0.7258
4 Li 0.4458 0.7461 0.0111
5 Li 0.5884 0.1275 0.3774
6 Li 0.6870 0.3496 0.0050
7 Li 0.8907 0.5968 0.7368
8 Ru 0.3015 0.5015 0.3843
9 O 0.1376 0.7237 0.1390
10 O 0.1538 0.5827 0.6159
11 O 0.4163 0.3938 0.1261
12 O 0.4484 0.2740 0.6099
13 O 0.7615 0.8629 0.6022
14 O 0.8491 0.1250 0.1817

Entry 5:
## CaTl2Cd (PBE)

Data for an optimized crystal structure of CaTl2Cd.

Properties
Crystal system = cubic
Magnetic moment = 0.0 μB/f.u.
Theoretical density = 8.432 Mg/m³
Formation energy = -0.229 eV/atom

abc: 7.6181 7.6181 7.6181
angles: 90.00 90.00 90.00
Space group Fm-3m (No. 225)
Inequivalent atoms, fractional coordinates:
1 Ca 0.0000 0.0000 0.0000
2 Tl 0.2500 0.2500 0.2500
3 Cd 0.0000 0.0000 0.5000

Entry 6:
## NiGe3 (PBE)

Data for an optimized crystal structure of NiGe3.

Properties
Crystal system = cubic
Magnetic moment = 0.0 μB/f.u.
Theoretical density = 7.029 Mg/m³
Formation energy = 0.272 eV/atom

abc: 4.0279 4.0279 4.0279
angles: 90.00 90.00 90.00
Space group Pm-3m (No. 221)
Inequivalent atoms, fractional coordinates:
1 Ni 0.0000 0.0000 0.0000
2 Ge 0.0000 0.5000 0.5000

Entry 7:
## RuCN2 (PBE)

Data for an optimized crystal structure of RuCN2.

Properties
Crystal system = trigonal
Magnetic moment = 0.1 μB/f.u.
Theoretical density = 5.908 Mg/m³
Formation energy = 0.363 eV/atom

abc: 2.9939 2.9939 15.3254
angles: 90.00 90.00 120.00
Space group R-3m (No. 166, hexagonal axes)
Inequivalent atoms, fractional coordinates:
1 Ru 0.0000 0.0000 0.0000
2 C 0.0000 0.0000 0.5000
3 N 0.0000 0.0000 0.4188

Entry 8:
## PW4Cl11 (PBE)

Data for an optimized crystal structure of PW4Cl11.

Properties
Crystal system = orthorhombic
Theoretical density = 4.667 Mg/m³
Formation energy = -1.203 eV/atom

abc: 10.0424 14.2202 11.5238
angles: 90.00 90.00 90.00
Space group Cmcm (No. 63)
Inequivalent atoms, fractional coordinates:
1 P 0.0000 0.1758 0.2500
2 W 0.1302 0.2749 0.1279
3 Cl 0.0000 0.0321 0.2500
4 Cl 0.0000 0.3700 0.5061
5 Cl 0.1569 0.4119 0.2500
6 Cl 0.1705 0.1508 0.5135
7 Cl 0.1920 0.2971 0.7500

Entry 9:
## TlBS3 (PBE)

Data for an optimized crystal structure of TlBS3.

Properties
Crystal system = monoclinic
Magnetic moment = 0.0 μB/f.u.
Theoretical density = 4.502 Mg/m³
Formation energy = -0.676 eV/atom

abc: 7.0676 12.1701 5.8318
angles: 90.00 113.67 90.00
Space group P2_1/c (No. 14)
Inequivalent atoms, fractional coordinates:
1 Tl 0.2479 0.0897 0.2252
2 B 0.2997 0.7305 0.3590
3 S 0.0589 0.6825 0.8315
4 S 0.1895 0.5990 0.1716
5 S 0.4630 0.6989 0.7035

Entry 10:
## YZnSi (PBE)

Data for an optimized crystal structure of YZnSi.

Properties
Crystal system = hexagonal
Theoretical density = 5.064 Mg/m³
Formation energy = -0.622 eV/atom

abc: 4.1211 4.1211 4.0663
angles: 90.00 90.00 120.00
Space group P-6m2 (No. 187)
Inequivalent atoms, fractional coordinates:
1 Y 0.0000 0.0000 0.0000
2 Zn 0.3333 0.6667 0.5000
3 Si 0.6667 0.3333 0.5000

Entry 11:
## MnZnCdTe3 (PBE)

Data for an optimized crystal structure of MnZnCdTe3.

Properties
Crystal system = orthorhombic
Magnetic moment = 5.0 μB/f.u.
Theoretical density = 5.240 Mg/m³
Formation energy = -0.544 eV/atom

abc: 4.5082 4.5198 19.1457
angles: 90.00 90.00 90.00
Space group Imm2 (No. 44)
Inequivalent atoms, fractional coordinates:
1 Mn 0.0000 0.0000 0.0000
2 Zn 0.0000 0.0000 0.3395
3 Cd 0.0000 0.0000 0.6717
4 Te 0.0000 0.5000 0.0806
5 Te 0.0000 0.5000 0.4183
6 Te 0.0000 0.5000 0.7620

Entry 12:
## KEuAlBiO6 (PBE)

Data for an optimized crystal structure of KEuAlBiO6.

Properties
Crystal system = cubic
Magnetic moment = 6.0 μB/f.u.
Theoretical density = 6.747 Mg/m³
Formation energy = -2.262 eV/atom

abc: 8.0152 8.0152 8.0152
angles: 90.00 90.00 90.00
Space group F-43m (No. 216)
Inequivalent atoms, fractional coordinates:
1 K 0.0000 0.0000 0.0000
2 Eu 0.0000 0.0000 0.5000
3 Al 0.2500 0.2500 0.2500
4 Bi 0.2500 0.2500 0.7500
5 O 0.0116 0.2500 0.2500

Entry 13:
## Sr3UIn2O9 (PBE)

Data for an optimized crystal structure of Sr3UIn2O9.

Properties
Crystal system = monoclinic
Magnetic moment = 0.0 μB/f.u.
Theoretical density = 6.496 Mg/m³
Formation energy = -3.001 eV/atom

abc: 8.3931 6.0159 19.5894
angles: 90.00 115.31 90.00
Space group P2_1/c (No. 14)
Inequivalent atoms, fractional coordinates:
1 Sr 0.0769 0.0351 0.3395
2 Sr 0.2296 0.5492 0.5021
3 Sr 0.3912 0.0455 0.6544
4 U 0.3342 0.0002 0.8320
5 In 0.0000 0.0000 0.5000
6 In 0.1685 0.5031 0.6673
7 In 0.5000 0.0000 0.5000
8 O 0.1134 0.2068 0.0712
9 O 0.1213 0.0253 0.8606
10 O 0.1375 0.7058 0.1010
11 O 0.1945 0.2002 0.7375
12 O 0.2178 0.7130 0.7683
13 O 0.2319 0.5368 0.9746
14 O 0.4408 0.2139 0.3963
15 O 0.4592 0.0278 0.2008
16 O 0.4782 0.6949 0.4264

Entry 14:
## Pr2AlCo2 (PBE)

Data for an optimized crystal structure of Pr2AlCo2.

Properties
Crystal system = monoclinic
Magnetic moment = 0.0 μB/f.u.
Theoretical density = 6.970 Mg/m³
Formation energy = -0.235 eV/atom

abc: 9.6359 5.6721 7.6523
angles: 90.00 103.57 90.00
Space group C2/c (No. 15)
Inequivalent atoms, fractional coordinates:
1 Pr 0.1459 0.1440 0.1466
2 Al 0.0000 0.3828 0.7500
3 Co 0.1429 0.3584 0.5050

Entry 15:
## Nd3Pt2 (PBE)

Data for an optimized crystal structure of Nd3Pt2.

Properties
Crystal system = trigonal
Theoretical density = 10.233 Mg/m³
Formation energy = -0.933 eV/atom

abc: 9.0307 9.0307 17.0158
angles: 90.00 90.00 120.00
Space group R-3 (No. 148, hexagonal axes)
Inequivalent atoms, fractional coordinates:
1 Nd 0.0000 0.0000 0.0000
2 Nd 0.0000 0.0000 0.2009
3 Nd 0.0137 0.2572 0.5921
4 Pt 0.0195 0.6119 0.5701

Entry 16:
## Hg3Bi (PBE)

Data for an optimized crystal structure of Hg3Bi.

Properties
Crystal system = hexagonal
Magnetic moment = 0.0 μB/f.u.
Theoretical density = 12.394 Mg/m³
Formation energy = 0.139 eV/atom

abc: 6.7421 6.7421 5.5186
angles: 90.00 90.00 120.00
Space group P6_3/mmc (No. 194)
Inequivalent atoms, fractional coordinates:
1 Hg 0.1653 0.3307 0.2500
2 Bi 0.3333 0.6667 0.7500

Entry 17:
## Al3V (PBE)

Data for an optimized crystal structure of Al3V.

Properties
Crystal system = cubic
Magnetic moment = 0.2 μB/f.u.
Theoretical density = 3.677 Mg/m³
Formation energy = -0.150 eV/atom

abc: 3.9054 3.9054 3.9054
angles: 90.00 90.00 90.00
Space group Pm-3m (No. 221)
Inequivalent atoms, fractional coordinates:
1 Al 0.0000 0.0000 0.5000
2 V 0.5000 0.5000 0.5000